1.
A geometry-optimized Li4Mn3CuNi2P6O24 structure, computed with GGA+U.

```
data_Li4Mn3CuNi2P6O24
_symmetry_space_group_name_H-M 'P 1'
_symmetry_Int_Tables_number 1
_cell_length_a 8.365
_cell_length_b 8.365
_cell_length_c 8.587
_cell_angle_alpha 64.30
_cell_angle_beta 63.10
_cell_angle_gamma 64.09
loop_
_symmetry_equiv_pos_as_xyz
'x,y,z'
loop_
_atom_site_label
_atom_site_fract_x
_atom_site_fract_y
_atom_site_fract_z
Li1 0.854 0.256 0.635
Li2 0.152 0.760 0.343
Li3 0.770 0.348 0.143
Li4 0.339 0.147 0.772
Mn1 0.854 0.857 0.856
Mn2 0.645 0.645 0.643
Mn3 0.350 0.345 0.346
Cu1 0.155 0.149 0.161
Ni1 0.000 0.994 0.008
Ni2 0.499 0.503 0.496
P1 0.252 0.929 0.564
P2 0.943 0.561 0.245
P3 0.556 0.250 0.942
P4 0.456 0.751 0.044
P5 0.040 0.450 0.747
P6 0.754 0.059 0.453
O1 0.689 0.894 0.505
O2 0.497 0.674 0.895
O3 0.089 0.922 0.755
O4 0.890 0.476 0.671
O5 0.193 0.947 0.412
O6 0.413 0.738 0.582
O7 0.922 0.756 0.103
O8 0.752 0.557 0.409
O9 0.610 0.830 0.001
O10 0.578 0.392 0.746
O11 0.257 0.905 0.060
O12 0.982 0.612 0.817
O13 0.976 0.402 0.176
O14 0.759 0.100 0.917
O15 0.436 0.607 0.240
O16 0.393 0.186 0.977
O17 0.240 0.438 0.599
O18 0.056 0.256 0.894
O19 0.600 0.254 0.422
O20 0.818 0.049 0.599
O21 0.099 0.528 0.312
O22 0.913 0.064 0.258
O23 0.534 0.315 0.093
O24 0.311 0.092 0.536
```

Energy relative to the elements ... -2.33 eV per atom
V ... 11.517 Å³/atom
Calculated total energy ... -268.61 eV/cell



2.
A geometry-optimized Li4Mn2Cu3O10 structure, computed with GGA+U.

```
data_Li4Mn2Cu3O10
_symmetry_space_group_name_H-M 'P 1'
_symmetry_Int_Tables_number 1
_cell_length_a 5.043
_cell_length_b 5.387
_cell_length_c 7.603
_cell_angle_alpha 104.48
_cell_angle_beta 102.76
_cell_angle_gamma 105.40
loop_
_symmetry_equiv_pos_as_xyz
'x,y,z'
loop_
_atom_site_label
_atom_site_fract_x
_atom_site_fract_y
_atom_site_fract_z
Li1 0.223 0.900 0.397
Li2 0.396 0.293 0.776
Li3 0.604 0.707 0.224
Li4 0.777 0.100 0.603
Mn1 0.096 0.676 0.691
Mn2 0.904 0.324 0.309
Cu1 0.000 0.500 0.000
Cu2 0.694 0.883 0.896
Cu3 0.306 0.117 0.104
O1 0.054 0.026 0.841
O2 0.341 0.663 0.924
O3 0.116 0.331 0.548
O4 0.447 0.906 0.678
O5 0.215 0.521 0.236
O6 0.785 0.479 0.764
O7 0.553 0.094 0.322
O8 0.884 0.669 0.452
O9 0.659 0.337 0.076
O10 0.946 0.974 0.159
```

Energy relative to the elements ... -1.62 eV per atom
V ... 9.656 Å³/atom
Calculated total energy ... -108.35 eV/cell



3.
A geometry-optimized Li2MnCuO4 structure, computed with GGA+U.

```
data_Li2MnCuO4
_symmetry_space_group_name_H-M 'P 1'
_symmetry_Int_Tables_number 1
_cell_length_a 5.623
_cell_length_b 5.623
_cell_length_c 6.264
_cell_angle_alpha 63.85
_cell_angle_beta 63.84
_cell_angle_gamma 90.02
loop_
_symmetry_equiv_pos_as_xyz
'x,y,z'
loop_
_atom_site_label
_atom_site_fract_x
_atom_site_fract_y
_atom_site_fract_z
Li1 0.500 0.000 0.000
Li2 0.500 0.000 0.500
Li3 0.000 0.000 0.500
Li4 0.500 0.500 0.000
Mn1 0.000 0.500 0.000
Mn2 0.000 0.500 0.500
Cu1 0.500 0.500 0.500
Cu2 0.000 0.000 0.000
O1 0.781 0.251 0.978
O2 0.249 0.719 0.522
O3 0.751 0.281 0.478
O4 0.219 0.749 0.022
O5 0.198 0.214 0.055
O6 0.286 0.302 0.445
O7 0.714 0.698 0.555
O8 0.802 0.786 0.945
```

Energy relative to the elements ... -1.79 eV per atom
V ... 9.677 Å³/atom
Calculated total energy ... -93.53 eV/cell
Polymorph energy (0 for the lowest one) ... 11 meV/atom



4.
A geometry-optimized Li2MnCuO4 structure, computed with GGA+U.

```
data_Li2MnCuO4
_symmetry_space_group_name_H-M 'P 1'
_symmetry_Int_Tables_number 1
_cell_length_a 5.098
_cell_length_b 5.098
_cell_length_c 5.098
_cell_angle_alpha 131.82
_cell_angle_beta 131.82
_cell_angle_gamma 70.51
loop_
_symmetry_equiv_pos_as_xyz
'x,y,z'
loop_
_atom_site_label
_atom_site_fract_x
_atom_site_fract_y
_atom_site_fract_z
Li1 0.250 0.750 0.500
Li2 0.500 0.500 0.000
Mn1 0.000 0.000 0.000
Cu1 0.750 0.250 0.500
O1 0.517 0.017 0.500
O2 0.231 0.231 0.000
O3 0.983 0.483 0.500
O4 0.769 0.769 0.000
```

Energy relative to the elements ... -1.80 eV per atom
V ... 9.013 Å³/atom
Calculated total energy ... -46.85 eV/cell
Polymorph energy (0 for the lowest one) ... 0 meV/atom



5.
A geometry-optimized Li2Mn5Cu2O12 structure, computed with GGA+U.

```
data_Li2Mn5Cu2O12
_symmetry_space_group_name_H-M 'P 1'
_symmetry_Int_Tables_number 1
_cell_length_a 5.373
_cell_length_b 8.765
_cell_length_c 9.730
_cell_angle_alpha 90.00
_cell_angle_beta 98.11
_cell_angle_gamma 90.00
loop_
_symmetry_equiv_pos_as_xyz
'x,y,z'
loop_
_atom_site_label
_atom_site_fract_x
_atom_site_fract_y
_atom_site_fract_z
Li1 0.779 0.094 0.516
Li2 0.503 0.421 0.742
Li3 0.721 0.594 0.984
Li4 0.997 0.921 0.758
Mn1 0.004 0.075 0.248
Mn2 0.494 0.086 0.750
Mn3 0.253 0.257 0.506
Mn4 0.992 0.413 0.250
Mn5 0.742 0.246 0.993
Mn6 0.006 0.586 0.750
Mn7 0.496 0.575 0.252
Mn8 0.247 0.757 0.994
Mn9 0.758 0.746 0.507
Mn10 0.508 0.913 0.250
Cu1 0.002 0.260 0.757
Cu2 0.492 0.247 0.241
Cu3 0.008 0.747 0.259
Cu4 0.498 0.760 0.743
O1 0.140 0.111 0.647
O2 0.350 0.086 0.349
O3 0.062 0.249 0.124
O4 0.659 0.081 0.150
O5 0.429 0.238 0.878
O6 0.841 0.105 0.849
O7 0.128 0.412 0.651
O8 0.573 0.233 0.615
O9 0.335 0.401 0.352
O10 0.930 0.242 0.384
O11 0.150 0.586 0.151
O12 0.654 0.409 0.138
O13 0.360 0.611 0.853
O14 0.875 0.418 0.859
O15 0.071 0.738 0.622
O16 0.659 0.605 0.651
O17 0.438 0.749 0.376
O18 0.841 0.581 0.350
O19 0.165 0.901 0.148
O20 0.570 0.742 0.116
O21 0.372 0.912 0.849
O22 0.927 0.733 0.885
O23 0.625 0.918 0.641
O24 0.846 0.909 0.362
```

Energy relative to the elements ... -1.74 eV per atom
V ... 10.802 Å³/atom
Calculated total energy ... -274.19 eV/cell



6.
A geometry-optimized Li4Mn5CuO12 structure, computed with GGA+U.

```
data_Li4Mn5CuO12
_symmetry_space_group_name_H-M 'P 1'
_symmetry_Int_Tables_number 1
_cell_length_a 5.096
_cell_length_b 5.160
_cell_length_c 10.265
_cell_angle_alpha 90.67
_cell_angle_beta 91.83
_cell_angle_gamma 60.24
loop_
_symmetry_equiv_pos_as_xyz
'x,y,z'
loop_
_atom_site_label
_atom_site_fract_x
_atom_site_fract_y
_atom_site_fract_z
Li1 0.163 0.500 0.750
Li2 0.337 0.494 0.250
Li3 0.664 0.492 0.751
Li4 0.834 0.503 0.250
Mn1 0.165 0.665 0.500
Mn2 0.665 0.669 0.999
Mn3 0.336 0.327 0.000
Mn4 0.836 0.321 0.500
Mn5 0.497 0.000 0.500
Cu1 0.001 0.998 0.001
O1 0.011 0.622 0.107
O2 0.364 0.625 0.893
O3 0.164 0.365 0.389
O4 0.495 0.640 0.396
O5 0.466 0.366 0.612
O6 0.178 0.992 0.593
O7 0.856 0.642 0.603
O8 0.638 0.372 0.107
O9 0.342 0.997 0.092
O10 0.990 0.374 0.892
O11 0.661 0.999 0.908
O12 0.822 0.993 0.407
```

Energy relative to the elements ... -1.89 eV per atom
V ... 10.647 Å³/atom
Calculated total energy ... -141.96 eV/cell
Polymorph energy (0 for the lowest one) ... 0 meV/atom



7.
A geometry-optimized Li4Mn5CuO12 structure, computed with GGA+U.

```
data_Li4Mn5CuO12
_symmetry_space_group_name_H-M 'P 1'
_symmetry_Int_Tables_number 1
_cell_length_a 5.156
_cell_length_b 5.156
_cell_length_c 10.303
_cell_angle_alpha 89.20
_cell_angle_beta 89.20
_cell_angle_gamma 120.82
loop_
_symmetry_equiv_pos_as_xyz
'x,y,z'
loop_
_atom_site_label
_atom_site_fract_x
_atom_site_fract_y
_atom_site_fract_z
Li1 0.336 0.841 0.750
Li2 0.159 0.664 0.250
Li3 0.841 0.336 0.750
Li4 0.664 0.159 0.250
Mn1 0.164 0.836 0.500
Mn2 0.664 0.336 0.000
Mn3 0.336 0.664 0.000
Mn4 0.836 0.164 0.500
Mn5 0.500 0.500 0.500
Cu1 0.000 0.000 0.000
O1 0.367 0.994 0.107
O2 0.006 0.633 0.893
O3 0.482 0.845 0.393
O4 0.845 0.482 0.393
O5 0.155 0.518 0.607
O6 0.824 0.824 0.593
O7 0.518 0.155 0.607
O8 0.994 0.367 0.107
O9 0.660 0.660 0.092
O10 0.633 0.006 0.893
O11 0.340 0.340 0.908
O12 0.176 0.176 0.407
```

Energy relative to the elements ... -1.78 eV per atom
V ... 10.687 Å³/atom
Calculated total energy ... -139.57 eV/cell
Polymorph energy (0 for the lowest one) ... 109 meV/atom



8.
A geometry-optimized Li3Mn2CuO6 structure, computed with GGA+U.

```
data_Li3Mn2CuO6
_symmetry_space_group_name_H-M 'P 1'
_symmetry_Int_Tables_number 1
_cell_length_a 2.820
_cell_length_b 7.494
_cell_length_c 11.449
_cell_angle_alpha 79.77
_cell_angle_beta 90.00
_cell_angle_gamma 79.15
loop_
_symmetry_equiv_pos_as_xyz
'x,y,z'
loop_
_atom_site_label
_atom_site_fract_x
_atom_site_fract_y
_atom_site_fract_z
Li1 0.333 0.333 0.083
Li2 0.333 0.334 0.583
Li3 0.010 0.979 0.255
Li4 0.010 0.979 0.755
Li5 0.656 0.688 0.412
Li6 0.656 0.688 0.912
Mn1 0.000 0.000 0.500
Mn2 0.667 0.667 0.167
Mn3 0.000 0.000 0.000
Mn4 0.667 0.667 0.667
Cu1 0.333 0.333 0.333
Cu2 0.333 0.333 0.833
O1 0.512 0.976 0.888
O2 0.512 0.976 0.388
O3 0.154 0.691 0.278
O4 0.154 0.691 0.778
O5 0.172 0.655 0.052
O6 0.172 0.655 0.552
O7 0.494 0.011 0.615
O8 0.494 0.011 0.115
O9 0.823 0.355 0.221
O10 0.823 0.355 0.721
O11 0.844 0.312 0.445
O12 0.844 0.312 0.945
```

Energy relative to the elements ... -1.90 eV per atom
V ... 9.739 Å³/atom
Calculated total energy ... -146.33 eV/cell